# 1
An optimized crystal structure of ZnH20PdC4N4O12. Source: the Materials Project, functional PBE-GGA.

Results
**Calculated density**: 1.9 Mg/m³
**DFT formation energy**: -43.56 eV/f.u.
**Corrected total energy (MP2020 scheme)**: -247.49 eV for the cell shown

a = 7.2957 Å, b = 7.6176 Å, c = 9.2078 Å
α = 114.43°, β = 113.34°, γ = 90.00°
With the nearest neighbours (Å) after each atom.
Fractional coordinates of all 42 atoms:
1 Zn 0.0000 0.5000 0.0000  6 O 2.11-2.15
2 H 0.7094 0.3642 0.1790  1 N 1.03
3 H 0.4696 0.8148 0.1790  1 N 1.03
4 H 0.5304 0.6358 0.8210  1 N 1.03
5 H 0.2906 0.1852 0.8210  1 N 1.03
6 H 0.6650 0.2980 0.3139  1 N 1.03
7 H 0.6490 0.0160 0.3139  1 N 1.03
8 H 0.3510 0.7020 0.6861  1 N 1.03
9 H 0.3350 0.9840 0.6861  1 N 1.03
10 H 0.4851 0.3691 0.1830  1 N 1.03
11 H 0.6980 0.8140 0.1830  1 N 1.03
12 H 0.3020 0.6309 0.8170  1 N 1.03
13 H 0.5149 0.1860 0.8170  1 N 1.03
14 H 0.9449 0.0901 0.8922  1 O 0.99
15 H 0.9473 0.8021 0.8922  1 O 0.99
16 H 0.0527 0.9099 0.1078  1 O 0.99
17 H 0.0551 0.1979 0.1078  1 O 0.99
18 H 0.7027 0.8116 0.6222  1 O 1.00
19 H 0.9195 0.8106 0.6222  1 O 1.00
20 H 0.0805 0.1884 0.3778  1 O 1.00
21 H 0.2973 0.1894 0.3778  1 O 1.00
22 Pd 0.5000 0.0000 0.0000  4 N 2.07
23 C 0.7101 0.3171 0.6361  2 O 1.25-1.28
24 C 0.9260 0.3191 0.6361  2 O 1.25-1.28
25 C 0.0740 0.6829 0.3639  2 O 1.25-1.28
26 C 0.2899 0.6809 0.3639  2 O 1.25-1.28
27 N 0.6004 0.2911 0.1895  3 H 1.03
28 N 0.5891 0.8984 0.1895  3 H 1.03
29 N 0.4109 0.7089 0.8105  3 H 1.03
30 N 0.3996 0.1016 0.8105  3 H 1.03
31 O 0.7064 0.3912 0.7876  1 C 1.28
32 O 0.0812 0.3964 0.7876  1 C 1.28
33 O 0.9188 0.6088 0.2124  1 C 1.28
34 O 0.2936 0.6036 0.2124  1 C 1.28
35 O 0.5590 0.2433 0.4878  1 C 1.25
36 O 0.9288 0.2445 0.4878  1 C 1.25
37 O 0.0712 0.7567 0.5122  1 C 1.25
38 O 0.4410 0.7555 0.5122  1 C 1.25
39 O 0.0000 0.2184 0.0000  2 H 0.99
40 O 0.0000 0.7816 0.0000  2 H 0.99
41 O 0.8512 0.8512 0.7024  2 H 1.00
42 O 0.1488 0.1488 0.2976  2 H 1.00

***

# 2
An optimized crystal structure of Cs3PrF6. Source: the Materials Project, functional PBE-GGA.

Results
**Calculated density**: 4.0 Mg/m³
**DFT formation energy**: -34.65 eV/f.u.
**Corrected total energy (MP2020 scheme)**: -53.60 eV for the cell shown

a = 7.2959 Å, b = 7.2959 Å, c = 7.2959 Å
α = 60.00°, β = 60.00°, γ = 60.00°
With the nearest neighbours (Å) after each atom.
Fractional coordinates of all 10 atoms:
1 Cs 0.2500 0.2500 0.2500  12 F 3.66
2 Cs 0.7500 0.7500 0.7500  12 F 3.66
3 Cs 0.5000 0.5000 0.5000  6 F 2.85
4 Pr 0.0000 0.0000 0.0000  6 F 2.31
5 F 0.7766 0.2234 0.2234  1 Pr 2.31
6 F 0.2234 0.7766 0.7766  1 Pr 2.31
7 F 0.2234 0.7766 0.2234  1 Pr 2.31
8 F 0.7766 0.2234 0.7766  1 Pr 2.31
9 F 0.2234 0.2234 0.7766  1 Pr 2.31
10 F 0.7766 0.7766 0.2234  1 Pr 2.31

***

# 3
An optimized crystal structure of Dy2CdTe4. Source: the Materials Project, functional PBE-GGA.

Results
**Calculated density**: 6.2 Mg/m³
**DFT formation energy**: -9.46 eV/f.u.
**Corrected total energy (MP2020 scheme)**: -64.35 eV for the cell shown

a = 8.9388 Å, b = 8.9388 Å, c = 8.9388 Å
α = 60.00°, β = 60.00°, γ = 60.00°
With the nearest neighbours (Å) after each atom.
Fractional coordinates of all 14 atoms:
1 Dy 0.1250 0.6250 0.6250  6 Te 3.09
2 Dy 0.6250 0.1250 0.6250  6 Te 3.09
3 Dy 0.6250 0.6250 0.1250  6 Te 3.09
4 Dy 0.6250 0.6250 0.6250  6 Te 3.09
5 Cd 0.2500 0.2500 0.2500  4 Te 2.87
6 Cd 0.0000 0.0000 0.0000  4 Te 2.87
7 Te 0.8573 0.3809 0.3809  1 Cd 2.87, 3 Dy 3.09
8 Te 0.3809 0.8573 0.3809  1 Cd 2.87, 3 Dy 3.09
9 Te 0.3809 0.3809 0.8573  1 Cd 2.87, 3 Dy 3.09
10 Te 0.3809 0.3809 0.3809  1 Cd 2.87, 3 Dy 3.09
11 Te 0.3927 0.8691 0.8691  1 Cd 2.87, 3 Dy 3.09
12 Te 0.8691 0.3927 0.8691  1 Cd 2.87, 3 Dy 3.09
13 Te 0.8691 0.8691 0.3927  1 Cd 2.87, 3 Dy 3.09
14 Te 0.8691 0.8691 0.8691  1 Cd 2.87, 3 Dy 3.09

***

# 4
An optimized crystal structure of Sr2SiS8O28. Source: the Materials Project, functional PBE-GGA.

Results
**Calculated density**: 2.6 Mg/m³
**DFT formation energy**: -81.96 eV/f.u.
**Corrected total energy (MP2020 scheme)**: -524.79 eV for the cell shown

a = 13.1740 Å, b = 7.1466 Å, c = 13.6187 Å
α = 65.69°, β = 90.00°, γ = 90.00°
With the nearest neighbours (Å) after each atom.
Fractional coordinates of all 78 atoms:
1 Sr 0.6352 0.6407 0.1590  7 O 2.56-2.76
2 Sr 0.8648 0.6407 0.6590  7 O 2.56-2.76
3 Sr 0.3648 0.3593 0.8410  7 O 2.56-2.76
4 Sr 0.1352 0.3593 0.3410  7 O 2.56-2.76
5 Si 0.5000 0.0000 0.5000  6 O 1.79-1.80
6 Si 0.0000 0.0000 0.0000  6 O 1.79-1.80
7 S 0.5292 0.1810 0.1069  3 O 1.44-1.45
8 S 0.9708 0.1810 0.6069  3 O 1.44-1.45
9 S 0.4708 0.8190 0.8931  3 O 1.44-1.45
10 S 0.0292 0.8190 0.3931  3 O 1.44-1.45
11 S 0.4166 0.2587 0.2746  4 O 1.44-1.57
12 S 0.0834 0.2587 0.7746  4 O 1.44-1.57
13 S 0.5834 0.7413 0.7254  4 O 1.44-1.57
14 S 0.9166 0.7413 0.2254  4 O 1.44-1.57
15 S 0.7150 0.1239 0.4119  3 O 1.43-1.52
16 S 0.7850 0.1239 0.9119  3 O 1.43-1.52
17 S 0.2850 0.8761 0.5881  3 O 1.43-1.52
18 S 0.2150 0.8761 0.0881  3 O 1.43-1.52
19 S 0.6448 0.7242 0.4418  3 O 1.43-1.53
20 S 0.8552 0.7242 0.9418  3 O 1.43-1.53
21 S 0.3552 0.2758 0.5582  3 O 1.43-1.53
22 S 0.1448 0.2758 0.0582  3 O 1.43-1.53
23 O 0.4746 0.0788 0.3596  1 S 1.53
24 O 0.0254 0.0788 0.8596  1 S 1.53
25 O 0.5254 0.9212 0.6404  1 S 1.53
26 O 0.9746 0.9212 0.1404  1 S 1.53
27 O 0.6038 0.3074 0.1289  1 S 1.45
28 O 0.8962 0.3074 0.6289  1 S 1.45
29 O 0.3962 0.6926 0.8711  1 S 1.45
30 O 0.1038 0.6926 0.3711  1 S 1.45
31 O 0.6184 0.1352 0.4703  1 S 1.52
32 O 0.8816 0.1352 0.9703  1 S 1.52
33 O 0.3816 0.8648 0.5297  1 S 1.52
34 O 0.1184 0.8648 0.0297  1 S 1.52
35 O 0.4186 0.2014 0.1746  2 S 1.57-1.76
36 O 0.0814 0.2014 0.6746  2 S 1.57-1.76
37 O 0.5814 0.7986 0.8254  2 S 1.57-1.76
38 O 0.9186 0.7986 0.3254  2 S 1.57-1.76
39 O 0.5485 0.9628 0.1572  1 S 1.44
40 O 0.9515 0.9628 0.6572  1 S 1.44
41 O 0.4515 0.0372 0.8428  1 S 1.44
42 O 0.0485 0.0372 0.3428  1 S 1.44
43 O 0.3105 0.2508 0.3011  1 S 1.44
44 O 0.1895 0.2508 0.8011  1 S 1.44
45 O 0.6895 0.7492 0.6989  1 S 1.44
46 O 0.8105 0.7492 0.1989  1 S 1.44
47 O 0.4691 0.4497 0.2508  1 S 1.44
48 O 0.0309 0.4497 0.7508  1 S 1.44
49 O 0.5309 0.5503 0.7492  1 S 1.44
50 O 0.9691 0.5503 0.2492  1 S 1.44
51 O 0.7971 0.0413 0.4861  1 S 1.43
52 O 0.7029 0.0413 0.9861  1 S 1.43
53 O 0.2029 0.9587 0.5139  1 S 1.43
54 O 0.2971 0.9587 0.0139  1 S 1.43
55 O 0.7302 0.3091 0.3172  1 S 1.43
56 O 0.7698 0.3091 0.8172  1 S 1.43
57 O 0.2698 0.6909 0.6828  1 S 1.43
58 O 0.2302 0.6909 0.1828  1 S 1.43
59 O 0.4889 0.2602 0.9989  1 S 1.44
60 O 0.0111 0.2602 0.4989  1 S 1.44
61 O 0.5111 0.7398 0.0011  1 S 1.44
62 O 0.9889 0.7398 0.5011  1 S 1.44
63 O 0.6858 0.9547 0.3618  2 S 1.65-1.66
64 O 0.8142 0.9547 0.8618  2 S 1.65-1.66
65 O 0.3142 0.0453 0.6382  2 S 1.65-1.66
66 O 0.1858 0.0453 0.1382  2 S 1.65-1.66
67 O 0.5558 0.7707 0.5000  1 S 1.53
68 O 0.9442 0.7707 0.0000  1 S 1.53
69 O 0.4442 0.2293 0.5000  1 S 1.53
70 O 0.0558 0.2293 0.0000  1 S 1.53
71 O 0.6117 0.6407 0.3683  1 S 1.43
72 O 0.8883 0.6407 0.8683  1 S 1.43
73 O 0.3883 0.3593 0.6317  1 S 1.43
74 O 0.1117 0.3593 0.1317  1 S 1.43
75 O 0.7234 0.6190 0.5176  1 S 1.44
76 O 0.7766 0.6190 0.0176  1 S 1.44
77 O 0.2766 0.3810 0.4824  1 S 1.44
78 O 0.2234 0.3810 0.9824  1 S 1.44

***

# 5
An optimized crystal structure of LuSiRu. Source: the Materials Project, functional PBE-GGA.

Results
**Calculated density**: 9.7 Mg/m³
**DFT formation energy**: -2.63 eV/f.u.

a = 4.2635 Å, b = 6.8594 Å, c = 7.1082 Å
α = 90.00°, β = 90.00°, γ = 90.00°
With the nearest neighbours (Å) after each atom.
Fractional coordinates of all 12 atoms:
1 Lu 0.7500 0.0095 0.8113  4 Ru 2.91-2.93, 6 Si 2.96-3.24
2 Lu 0.2500 0.4905 0.3113  4 Ru 2.91-2.93, 6 Si 2.96-3.24
3 Lu 0.7500 0.5095 0.6887  4 Ru 2.91-2.93, 6 Si 2.96-3.24
4 Lu 0.2500 0.9905 0.1887  4 Ru 2.91-2.93, 6 Si 2.96-3.24
5 Si 0.7500 0.2005 0.3937  4 Ru 2.46-2.53
6 Si 0.2500 0.2995 0.8937  4 Ru 2.46-2.53
7 Si 0.7500 0.7005 0.1063  4 Ru 2.46-2.53
8 Si 0.2500 0.7995 0.6063  4 Ru 2.46-2.53
9 Ru 0.2500 0.1556 0.5654  4 Si 2.46-2.53
10 Ru 0.7500 0.3444 0.0654  4 Si 2.46-2.53
11 Ru 0.2500 0.6556 0.9346  4 Si 2.46-2.53
12 Ru 0.7500 0.8444 0.4346  4 Si 2.46-2.53

***

# 6
An optimized crystal structure of La4Mg. Source: the Materials Project, functional PBE-GGA.

Results
**Calculated density**: 4.8 Mg/m³
**DFT formation energy**: 2.66 eV/f.u.

a = 8.2553 Å, b = 8.2553 Å, c = 8.2553 Å
α = 60.00°, β = 60.00°, γ = 60.00°
With the nearest neighbours (Å) after each atom.
Fractional coordinates of all 10 atoms:
1 La 0.3976 0.3976 0.3976  1 Mg 2.98
2 La 0.3976 0.3976 0.8073  1 Mg 2.98
3 La 0.3976 0.8073 0.3976  1 Mg 2.98
4 La 0.8524 0.8524 0.4427  1 Mg 2.98
5 La 0.8524 0.8524 0.8524  1 Mg 2.98
6 La 0.8073 0.3976 0.3976  1 Mg 2.98
7 La 0.8524 0.4427 0.8524  1 Mg 2.98
8 La 0.4427 0.8524 0.8524  1 Mg 2.98
9 Mg 0.0000 0.0000 0.0000  4 La 2.98
10 Mg 0.2500 0.2500 0.2500  4 La 2.98